Run w
First-principles (PBE-GGA) data for a relaxed CsMg6BiO8 crystal, as listed in the Materials Project.

Results
space-group type = P4/mmm
ρ = 4.72 g cm⁻³

abc: 4.7790 4.7790 9.4814
angles: 90.00 90.00 90.00
Element x y z (fractional)
Cs (0.0000, 0.0000, 0.0000)
Mg (0.0000, 0.5000, 0.2375)
Mg (0.0000, 0.5000, 0.7625)
Mg (0.5000, 0.0000, 0.2375)
Mg (0.5000, 0.0000, 0.7625)
Mg (0.5000, 0.5000, 0.0000)
Mg (0.5000, 0.5000, 0.5000)
Bi (0.0000, 0.0000, 0.5000)
O (0.0000, 0.0000, 0.2672)
O (0.0000, 0.0000, 0.7328)
O (0.0000, 0.5000, 0.0000)
O (0.0000, 0.5000, 0.5000)
O (0.5000, 0.0000, 0.0000)
O (0.5000, 0.0000, 0.5000)
O (0.5000, 0.5000, 0.2541)
O (0.5000, 0.5000, 0.7459)

---

Run x
First-principles (PBE-GGA) data for a relaxed CsMg6BiO8 crystal, as listed in the Materials Project.

Results
space-group type = P4/mmm
ρ = 4.80 g cm⁻³

abc: 4.8223 4.8223 9.1617
angles: 90.00 90.00 90.00
Element x y z (fractional)
Cs (0.0000, 0.0000, 0.0000)
Mg (0.0000, 0.0000, 0.5000)
Mg (0.0000, 0.5000, 0.2774)
Mg (0.0000, 0.5000, 0.7226)
Mg (0.5000, 0.0000, 0.2774)
Mg (0.5000, 0.0000, 0.7226)
Mg (0.5000, 0.5000, 0.5000)
Bi (0.5000, 0.5000, 0.0000)
O (0.0000, 0.0000, 0.2913)
O (0.0000, 0.0000, 0.7087)
O (0.0000, 0.5000, 0.0000)
O (0.0000, 0.5000, 0.5000)
O (0.5000, 0.0000, 0.0000)
O (0.5000, 0.0000, 0.5000)
O (0.5000, 0.5000, 0.2703)
O (0.5000, 0.5000, 0.7297)

---

Which of them is most stable? Easy: run x.

---

Run w
First-principles (PBE-GGA) data for a relaxed Sr2DyCu2Bi2O8 crystal, as listed in the Materials Project.

Results
space-group type = Cccm
ρ = 7.39 g cm⁻³

abc: 15.6497 15.6497 5.3550
angles: 90.00 90.00 159.74
Element x y z (fractional)
Sr (0.1103, 0.3870, 0.0000)
Sr (0.3870, 0.1103, 0.5000)
Sr (0.6130, 0.8897, 0.5000)
Sr (0.8897, 0.6130, 0.0000)
Dy (0.0000, 0.5000, 0.0000)
Dy (0.5000, 0.0000, 0.5000)
Cu (0.0503, 0.4502, 0.5000)
Cu (0.4502, 0.0503, 0.0000)
Cu (0.5498, 0.9497, 0.0000)
Cu (0.9497, 0.5498, 0.5000)
Bi (0.2243, 0.3207, 0.5000)
Bi (0.3207, 0.2243, 0.0000)
Bi (0.6793, 0.7757, 0.0000)
Bi (0.7757, 0.6793, 0.5000)
O (0.1259, 0.3584, 0.5000)
O (0.2020, 0.7980, 0.2500)
O (0.2020, 0.7980, 0.7500)
O (0.2841, 0.3852, 0.0000)
O (0.2980, 0.7020, 0.2500)
O (0.2980, 0.7020, 0.7500)
O (0.3584, 0.1259, 0.0000)
O (0.3852, 0.2841, 0.5000)
O (0.6148, 0.7159, 0.5000)
O (0.6416, 0.8741, 0.0000)
O (0.7020, 0.2980, 0.2500)
O (0.7020, 0.2980, 0.7500)
O (0.7159, 0.6148, 0.0000)
O (0.7980, 0.2020, 0.2500)
O (0.7980, 0.2020, 0.7500)
O (0.8741, 0.6416, 0.5000)

---

Run x
First-principles (PBE-GGA) data for a relaxed Sr2DyCu2Bi2O8 crystal, as listed in the Materials Project.

Results
space-group type = I4/mmm
ρ = 7.63 g cm⁻³

abc: 15.5235 15.5235 15.5235
angles: 165.97 165.97 19.90
Element x y z (fractional)
Sr (0.1136, 0.1136, 0.0000)
Sr (0.8864, 0.8864, 0.0000)
Dy (0.0000, 0.0000, 0.0000)
Cu (0.4478, 0.4478, 0.0000)
Cu (0.5522, 0.5522, 0.0000)
Bi (0.2970, 0.2970, 0.0000)
Bi (0.7030, 0.7030, 0.0000)
O (0.0485, 0.5485, 0.5000)
O (0.2007, 0.2007, 0.0000)
O (0.3663, 0.3663, 0.0000)
O (0.4515, 0.9515, 0.5000)
O (0.5485, 0.0485, 0.5000)
O (0.6337, 0.6337, 0.0000)
O (0.7993, 0.7993, 0.0000)
O (0.9515, 0.4515, 0.5000)

---

Which of them is most stable? Easy: run w.

---

Run w
First-principles (PBE-GGA) data for a relaxed Mg14CuBi crystal, as listed in the Materials Project.

Results
space-group type = Amm2
ρ = 2.83 g cm⁻³

abc: 10.4015 6.3192 6.3192
angles: 59.92 90.00 90.00
Element x y z (fractional)
Mg (0.0000, 0.0000, 0.0000)
Mg (0.0000, 0.0019, 0.5003)
Mg (0.0000, 0.5003, 0.0019)
Mg (0.0000, 0.4997, 0.4997)
Mg (0.2431, 0.6691, 0.6691)
Mg (0.2517, 0.1602, 0.6738)
Mg (0.2517, 0.6738, 0.1602)
Mg (0.2544, 0.1644, 0.1644)
Mg (0.5000, 0.5003, 0.9991)
Mg (0.5000, 0.9991, 0.5003)
Mg (0.7456, 0.1644, 0.1644)
Mg (0.7483, 0.1602, 0.6738)
Mg (0.7483, 0.6738, 0.1602)
Mg (0.7569, 0.6691, 0.6691)
Cu (0.5000, 0.0003, 0.0003)
Bi (0.5000, 0.5018, 0.5018)

---

Run x
First-principles (PBE-GGA) data for a relaxed Mg14CuBi crystal, as listed in the Materials Project.

Results
space-group type = P-6m2
ρ = 2.84 g cm⁻³

abc: 6.3143 6.3143 10.3870
angles: 90.00 90.00 120.00
Element x y z (fractional)
Mg (0.0000, 0.0000, 0.2487)
Mg (0.0000, 0.0000, 0.7513)
Mg (0.0024, 0.5012, 0.2313)
Mg (0.0024, 0.5012, 0.7687)
Mg (0.3283, 0.1641, 0.0000)
Mg (0.3339, 0.1670, 0.5000)
Mg (0.4988, 0.5012, 0.2313)
Mg (0.4988, 0.5012, 0.7687)
Mg (0.4988, 0.9976, 0.2313)
Mg (0.4988, 0.9976, 0.7687)
Mg (0.8330, 0.1670, 0.5000)
Mg (0.8330, 0.6661, 0.5000)
Mg (0.8359, 0.1641, 0.0000)
Mg (0.8359, 0.6717, 0.0000)
Cu (0.3333, 0.6667, 0.0000)
Bi (0.3333, 0.6667, 0.5000)

---

Which of them is most stable? Easy: run x.

---

Run w
First-principles (PBE-GGA) data for a relaxed Sr2MgCu2Bi2O8 crystal, as listed in the Materials Project.

Results
space-group type = I-4m2
ρ = 5.84 g cm⁻³

abc: 19.3007 19.3007 19.3007
angles: 169.29 169.29 15.16
Element x y z (fractional)
Sr (0.0989, 0.0989, 0.0000)
Sr (0.9011, 0.9011, 0.0000)
Mg (0.7500, 0.2500, 0.5000)
Cu (0.4561, 0.4561, 0.0000)
Cu (0.5439, 0.5439, 0.0000)
Bi (0.3169, 0.3169, 0.0000)
Bi (0.6831, 0.6831, 0.0000)
O (0.0548, 0.5548, 0.5000)
O (0.2222, 0.2222, 0.0000)
O (0.3717, 0.3717, 0.0000)
O (0.4452, 0.9452, 0.5000)
O (0.5551, 0.0551, 0.5000)
O (0.6283, 0.6283, 0.0000)
O (0.7778, 0.7778, 0.0000)
O (0.9449, 0.4449, 0.5000)

---

Run x
First-principles (PBE-GGA) data for a relaxed Sr2MgCu2Bi2O8 crystal, as listed in the Materials Project.

Results
space-group type = I4/mmm
ρ = 6.79 g cm⁻³

abc: 15.6666 15.6666 15.6666
angles: 166.38 166.38 19.31
Element x y z (fractional)
Sr (0.1073, 0.1073, 0.0000)
Sr (0.8927, 0.8927, 0.0000)
Mg (0.0000, 0.0000, 0.0000)
Cu (0.4548, 0.4548, 0.0000)
Cu (0.5452, 0.5452, 0.0000)
Bi (0.3002, 0.3002, 0.0000)
Bi (0.6998, 0.6998, 0.0000)
O (0.0458, 0.5458, 0.5000)
O (0.1989, 0.1989, 0.0000)
O (0.3676, 0.3676, 0.0000)
O (0.4542, 0.9542, 0.5000)
O (0.5458, 0.0458, 0.5000)
O (0.6324, 0.6324, 0.0000)
O (0.8011, 0.8011, 0.0000)
O (0.9542, 0.4542, 0.5000)

---

Which of them is most stable? Easy: run x.